(1)
U2V2O11: relaxed, GGA+U.

- VASP energy: -8.592 eV/atom
- M_tot: 0.000 μB per atom
- Energy relative to the elements: -2.977 eV per atom

a = 13.2196 Å, b = 6.1498 Å, c = 7.3720 Å
α = 59.84°, β = 90.00°, γ = 90.00°
Positions (direct):
U  0.6770  0.1609  0.1713
U  0.1770  0.8391  0.3287
U  0.3230  0.8391  0.8287
U  0.8230  0.1609  0.6713
V  0.9298  0.2121  0.1460
V  0.4298  0.7879  0.3540
V  0.0702  0.7879  0.8540
V  0.5702  0.2121  0.6460
O  0.5119  0.0353  0.2397
O  0.0119  0.9647  0.2603
O  0.4881  0.9647  0.7603
O  0.9881  0.0353  0.7397
O  0.6573  0.1765  0.4867
O  0.1573  0.8235  0.0133
O  0.3427  0.8235  0.5133
O  0.8427  0.1765  0.9867
O  0.5000  0.5000  0.5000
O  0.0000  0.5000  0.0000
O  0.8466  0.2073  0.3298
O  0.3466  0.7927  0.1702
O  0.1534  0.7927  0.6702
O  0.6534  0.2073  0.8298
O  0.7972  0.8302  0.8025
O  0.6441  0.4870  0.0451
O  0.2028  0.1698  0.1975
O  0.7028  0.8302  0.3025
O  0.8559  0.4870  0.5451
O  0.3559  0.5130  0.9549
O  0.1441  0.5130  0.4549
O  0.2972  0.1698  0.6975

---

(2)
U2WO8: relaxed, GGA+U.

- VASP energy: -9.066 eV/atom
- M_tot: 0.182 μB per atom
- Energy relative to the elements: -3.139 eV per atom

a = 4.0609 Å, b = 6.8299 Å, c = 23.7010 Å
α = 90.00°, β = 90.00°, γ = 90.00°
Positions (direct):
U  0.0000  0.3035  0.3768
U  0.0000  0.6965  0.6232
U  0.0000  0.1965  0.8768
U  0.0000  0.8035  0.1232
U  0.0000  0.3262  0.2158
U  0.0000  0.6738  0.7842
U  0.0000  0.1738  0.7158
U  0.0000  0.8262  0.2842
W  0.0000  0.3251  0.0478
W  0.0000  0.6749  0.9522
W  0.0000  0.1749  0.5478
W  0.0000  0.8251  0.4522
O  0.0000  0.1391  0.4654
O  0.0000  0.8609  0.5346
O  0.0000  0.3609  0.9654
O  0.0000  0.6391  0.0346
O  0.0000  0.4185  0.1231
O  0.0000  0.5815  0.8769
O  0.0000  0.0815  0.6231
O  0.0000  0.9185  0.3769
O  0.5000  0.3210  0.2162
O  0.5000  0.6790  0.7838
O  0.5000  0.1790  0.7162
O  0.5000  0.8210  0.2838
O  0.0000  0.1524  0.2937
O  0.0000  0.8476  0.7063
O  0.0000  0.3476  0.7937
O  0.0000  0.6524  0.2063
O  0.5000  0.3016  0.3780
O  0.5000  0.6984  0.6220
O  0.5000  0.1984  0.8780
O  0.5000  0.8016  0.1220
O  0.5000  0.3322  0.0461
O  0.5000  0.6678  0.9539
O  0.5000  0.1678  0.5461
O  0.5000  0.8322  0.4539
O  0.0000  0.0253  0.1876
O  0.0000  0.9747  0.8124
O  0.0000  0.4747  0.6876
O  0.0000  0.5253  0.3124
O  0.0000  0.0619  0.0613
O  0.0000  0.9381  0.9387
O  0.0000  0.4381  0.5613
O  0.0000  0.5619  0.4387

---

(3)
UW2O8: relaxed, GGA+U.

- VASP energy: -8.144 eV/atom
- M_tot: 0.001 μB per atom
- Energy relative to the elements: -2.469 eV per atom

a = 9.7369 Å, b = 10.3397 Å, c = 14.5712 Å
α = 90.00°, β = 90.00°, γ = 90.00°
Positions (direct):
U  0.7256  0.0341  0.3877
U  0.2744  0.4659  0.8877
U  0.2256  0.9659  0.1123
U  0.7744  0.5341  0.6123
U  0.2744  0.9659  0.6123
U  0.7256  0.5341  0.1123
U  0.7744  0.0341  0.8877
U  0.2256  0.4659  0.3877
W  0.6848  0.3967  0.8521
W  0.4944  0.7264  0.4414
W  0.4944  0.2264  0.0586
W  0.1848  0.1033  0.8521
W  0.8152  0.3967  0.3521
W  0.5056  0.2736  0.5586
W  0.0056  0.7264  0.9414
W  0.9944  0.2736  0.0586
W  0.8152  0.8967  0.1479
W  0.0056  0.2264  0.5586
W  0.9944  0.7736  0.4414
W  0.6848  0.8967  0.6479
W  0.3152  0.1033  0.3521
W  0.1848  0.6033  0.6479
W  0.3152  0.6033  0.1479
W  0.5056  0.7736  0.9414
O  0.2515  0.5722  0.0331
O  0.7359  0.2339  0.8216
O  0.2359  0.7661  0.6784
O  0.2629  0.9923  0.7708
O  0.5867  0.6457  0.5323
O  0.0009  0.4165  0.3511
O  0.1276  0.8366  0.9925
O  0.0925  0.6068  0.8674
O  0.1113  0.1715  0.1233
O  0.0867  0.3543  0.9677
O  0.2515  0.0722  0.4669
O  0.9991  0.5835  0.6489
O  0.8887  0.8285  0.8767
O  0.7629  0.0077  0.7292
O  0.5009  0.5835  0.1489
O  0.5867  0.1457  0.9677
O  0.2641  0.2661  0.3216
O  0.3724  0.8366  0.4925
O  0.9133  0.1457  0.4677
O  0.4075  0.1068  0.1326
O  0.4133  0.8543  0.0323
O  0.9991  0.0835  0.8511
O  0.3887  0.6715  0.8767
O  0.6276  0.6634  0.9925
O  0.7629  0.5077  0.7708
O  0.8724  0.6634  0.4925
O  0.2485  0.0722  0.9669
O  0.7515  0.4278  0.4669
O  0.2485  0.5722  0.5331
O  0.6113  0.3285  0.1233
O  0.2629  0.4923  0.7292
O  0.3724  0.3366  0.0075
O  0.3887  0.1715  0.6233
O  0.2359  0.2661  0.8216
O  0.7359  0.7339  0.6784
O  0.1113  0.6715  0.3767
O  0.5925  0.3932  0.6326
O  0.0867  0.8543  0.5323
O  0.5009  0.0835  0.3511
O  0.4991  0.4165  0.8511
O  0.2371  0.4923  0.2292
O  0.7371  0.5077  0.2708
O  0.6276  0.1634  0.5075
O  0.9075  0.8932  0.3674
O  0.9075  0.3932  0.1326
O  0.6113  0.8285  0.3767
O  0.0009  0.9165  0.1489
O  0.1276  0.3366  0.5075
O  0.9133  0.6457  0.0323
O  0.5925  0.8932  0.8674
O  0.7641  0.7339  0.1784
O  0.4075  0.6068  0.3674
O  0.2371  0.9923  0.2708
O  0.0925  0.1068  0.6326
O  0.7641  0.2339  0.3216
O  0.7485  0.4278  0.9669
O  0.8724  0.1634  0.0075
O  0.7515  0.9278  0.0331
O  0.7485  0.9278  0.5331
O  0.8887  0.3285  0.6233
O  0.4133  0.3543  0.4677
O  0.7371  0.0077  0.2292
O  0.4991  0.9165  0.6489
O  0.2641  0.7661  0.1784